Compound: Ni3Ag
Source: the Materials Project
Functional: PBE-GGA
Structure: relaxed

Output
**SG**: I4/mmm, No. 139
**M_tot**: 0.336 μB per atom

abc: 4.5127 4.5127 4.5127
angles: 131.84 131.84 70.48
Element x y z (fractional)
Ni: 0.7500 0.2500 0.5000
Ni: 0.2500 0.7500 0.5000
Ni: 0.5000 0.5000 0.0000
Ag: 0.0000 0.0000 0.0000

Compound: Ho2Ge2O7
Source: the Materials Project
Functional: PBE-GGA
Structure: relaxed

Output
**MP2020-corrected energy**: -7.885 eV per atom
**SG**: C2/m, No. 12
**Energy relative to the lowest polymorph listed for this composition**: 6.0 meV per atom

abc: 5.7688 5.7688 5.0301
angles: 82.61 82.61 105.36
Element x y z (fractional)
Ho: 0.3064 0.6936 0.5000
Ho: 0.6936 0.3064 0.5000
Ge: 0.7691 0.7691 0.9093
Ge: 0.2309 0.2309 0.0907
O: 0.9195 0.6007 0.7126
O: 0.6007 0.9195 0.7126
O: 0.5975 0.5975 0.2232
O: 0.4025 0.4025 0.7768
O: 0.0000 0.0000 0.0000
O: 0.0805 0.3993 0.2874
O: 0.3993 0.0805 0.2874

Compound: Li3AlB2O6
Source: the Materials Project
Functional: PBE-GGA
Structure: relaxed

Output
**MP2020-corrected energy**: -7.141 eV per atom
**SG**: P-1, No. 2
**Energy relative to the lowest polymorph listed for this composition**: 83.9 meV per atom
**M_tot**: 0.000 μB per atom

abc: 5.2545 6.8193 8.1398
angles: 108.32 92.44 89.36
Element x y z (fractional)
Li: 0.9693 0.7126 0.2183
Li: 0.2475 0.3873 0.2544
Li: 0.3085 0.5929 0.6148
Li: 0.0307 0.2874 0.7817
Li: 0.6915 0.4071 0.3852
Li: 0.7525 0.6127 0.7456
Al: 0.4230 0.0039 0.2293
Al: 0.5770 0.9961 0.7707
B: 0.5860 0.7737 0.4311
B: 0.4140 0.2263 0.5689
B: 0.7608 0.2631 0.0825
B: 0.2392 0.7369 0.9175
O: 0.2704 0.1749 0.4108
O: 0.6054 0.3674 0.6020
O: 0.3946 0.6326 0.3980
O: 0.7296 0.8251 0.5892
O: 0.8061 0.1655 0.9091
O: 0.5465 0.1982 0.1518
O: 0.9063 0.4185 0.1890
O: 0.0937 0.5815 0.8110
O: 0.6582 0.8666 0.3084
O: 0.3418 0.1334 0.6916
O: 0.1939 0.8345 0.0909
O: 0.4535 0.8018 0.8482

Compound: La2ThSe5
Source: the Materials Project
Functional: PBE-GGA
Structure: relaxed

Output
**MP2020-corrected energy**: -6.600 eV per atom
**SG**: Pnma, No. 62

abc: 8.0008 8.7400 12.6100
angles: 90.00 90.00 90.00
Element x y z (fractional)
La: 0.5274 0.4994 0.3221
La: 0.9726 0.0006 0.8221
La: 0.4726 0.9994 0.6779
La: 0.0274 0.5006 0.1779
La: 0.4726 0.5006 0.6779
La: 0.0274 0.9994 0.1779
La: 0.5274 0.0006 0.3221
La: 0.9726 0.4994 0.8221
Th: 0.0751 0.7500 0.4905
Th: 0.4249 0.7500 0.9905
Th: 0.9249 0.2500 0.5095
Th: 0.5751 0.2500 0.0095
Se: 0.8309 0.9564 0.5943
Se: 0.6691 0.5436 0.0943
Se: 0.1691 0.4564 0.4057
Se: 0.3309 0.0436 0.9057
Se: 0.1691 0.0436 0.4057
Se: 0.3309 0.4564 0.9057
Se: 0.8309 0.5436 0.5943
Se: 0.6691 0.9564 0.0943
Se: 0.8326 0.7500 0.3119
Se: 0.6674 0.7500 0.8119
Se: 0.1674 0.2500 0.6881
Se: 0.3326 0.2500 0.1881
Se: 0.4581 0.7500 0.4990
Se: 0.0419 0.7500 0.9990
Se: 0.5419 0.2500 0.5010
Se: 0.9581 0.2500 0.0010
Se: 0.1927 0.7500 0.7171
Se: 0.3073 0.7500 0.2171
Se: 0.8073 0.2500 0.2829
Se: 0.6927 0.2500 0.7829

The following formation enthalpy at 0 K values (in meV per atom) correspond, in order, to the records above: 233 -3063 -2764 -2255.
The following raw total energy values (in eV/cell) correspond, in order, to the records above: -19.24 -81.93 -163.14 -201.77.